VASP calculation (GGA-PBE) on an optimized crystal structure of V3Bi.

The value obtained for the energy of formation is 158 meV per atom. The magnetic moment comes out at 0.000 μB/f.u. As for the electronic total energy: -7.627 eV per atom.

Geometry as POSCAR:
```
V3Bi
1.0
5.0266 0.0000 0.0000
0.0000 5.0266 0.0000
0.0000 0.0000 5.0266
V Bi
6 2
direct
0.5000 0.2500 0.0000
0.5000 0.7500 0.0000
0.2500 0.0000 0.5000
0.7500 0.0000 0.5000
0.0000 0.5000 0.2500
0.0000 0.5000 0.7500
0.5000 0.5000 0.5000
0.0000 0.0000 0.0000
```

***

VASP calculation (GGA-PBE) on an optimized crystal structure of Zr3Ti2Ga3.

The value obtained for the energy of formation is -512 meV per atom. As for the electronic total energy: -6.827 eV per atom.

Geometry as POSCAR:
```
Zr3Ti2Ga3
1.0
3.9808 -6.8949 0.0000
3.9808 6.8949 0.0000
0.0000 0.0000 5.4976
Zr Ti Ga
6 4 6
direct
0.2428 0.0000 0.2500
0.2428 0.2428 0.7500
0.0000 0.7572 0.7500
0.0000 0.2428 0.2500
0.7572 0.7572 0.2500
0.7572 0.0000 0.7500
0.6667 0.3333 0.0000
0.3333 0.6667 0.5000
0.6667 0.3333 0.5000
0.3333 0.6667 0.0000
0.5985 0.0000 0.2500
0.4015 0.0000 0.7500
0.0000 0.5985 0.2500
0.0000 0.4015 0.7500
0.5985 0.5985 0.7500
0.4015 0.4015 0.2500
```

***

VASP calculation (GGA-PBE) on an optimized crystal structure of CrN2.

The value obtained for the energy of formation is -83 meV per atom. The magnetic moment comes out at 0.000 μB/f.u. As for the electronic total energy: -8.618 eV per atom.

Geometry as POSCAR:
```
CrN2
1.0
8.1295 -9.6151 4.7522
10.1965 7.6506 4.3154
-12.8729 -3.3649 2.0222
Cr N
18 36
direct
0.1221 0.1173 0.5917
0.5255 0.5304 0.4083
0.4745 0.8827 0.0048
0.8779 0.4696 0.9952
0.8779 0.8827 0.4083
0.4745 0.4696 0.5917
0.5255 0.1173 0.9952
0.1221 0.5304 0.0048
0.2706 0.9793 0.7088
0.2706 0.5618 0.2912
0.7294 0.0207 0.2912
0.7294 0.4382 0.7088
0.8804 0.0831 0.7973
0.2859 0.0831 0.2027
0.7141 0.9169 0.7973
0.1196 0.9169 0.2027
0.1511 0.1511 0.0000
0.8489 0.8489 0.0000
0.2519 0.7519 0.5000
0.7481 0.2481 0.5000
0.7817 0.0000 0.7817
0.2183 0.0000 0.2183
0.0091 0.1034 0.9056
0.1978 0.1034 0.0944
0.8022 0.8966 0.9056
0.9909 0.8966 0.0944
0.0000 0.0000 0.5000
0.5000 0.5000 0.5000
0.5000 0.0000 0.0000
0.0000 0.5000 0.0000
0.2003 0.0300 0.8296
0.2003 0.3707 0.1704
0.7997 0.9700 0.1704
0.7997 0.6293 0.8296
0.8748 0.6587 0.2161
0.4426 0.6587 0.7839
0.5574 0.3413 0.2161
0.1252 0.3413 0.7839
0.8621 0.9443 0.5745
0.3699 0.2876 0.4255
0.6301 0.0557 0.9178
0.1379 0.7124 0.0822
0.1379 0.0557 0.4255
0.6301 0.7124 0.5745
0.3699 0.9443 0.0822
0.8621 0.2876 0.9178
0.2238 0.0696 0.6629
0.4067 0.5609 0.3371
0.5933 0.9304 0.1542
0.7762 0.4391 0.8458
0.7762 0.9304 0.3371
0.5933 0.4391 0.6629
0.4067 0.0696 0.8458
0.2238 0.5609 0.1542
```

***

VASP calculation (GGA-PBE) on an optimized crystal structure of Ti2OsRu.

The value obtained for the energy of formation is -745 meV per atom. As for the electronic total energy: -9.818 eV per atom.

Geometry as POSCAR:
```
Ti2OsRu
1.0
0.0000 3.0915 3.0915
3.0915 0.0000 3.0915
3.0915 3.0915 0.0000
Ti Os Ru
2 1 1
direct
0.2500 0.2500 0.2500
0.7500 0.7500 0.7500
0.5000 0.5000 0.5000
0.0000 0.0000 0.0000
```

***

VASP calculation (GGA-PBE) on an optimized crystal structure of HfTeSe.

The value obtained for the energy of formation is -1233 meV per atom. As for the electronic total energy: -6.607 eV per atom.

Geometry as POSCAR:
```
HfTeSe
1.0
1.9503 -3.3781 0.0000
1.9503 3.3781 0.0000
0.0000 0.0000 6.7358
Hf Te Se
1 1 1
direct
0.0000 0.0000 0.9818
0.6667 0.3333 0.2553
0.3333 0.6667 0.7629
```

***

VASP calculation (GGA-PBE) on an optimized crystal structure of Ca5Mg5P5O21F4.

The value obtained for the energy of formation is -3276 meV per atom. The magnetic moment comes out at 1.000 μB/f.u. As for the electronic total energy: -6.785 eV per atom.

Geometry as POSCAR:
```
Ca5Mg5P5O21F4
1.0
-0.5292 -3.5405 -4.1892
4.8831 -1.0193 2.3412
-27.7351 -43.6956 39.8557
Ca Mg P O F
20 20 20 84 16
direct
0.1378 0.0598 0.8997
0.7408 0.6592 0.8000
0.3386 0.2613 0.6999
0.9386 0.8614 0.6000
0.5386 0.4614 0.5000
0.2622 0.5402 0.8503
0.1386 0.0614 0.4000
0.8597 0.1376 0.7497
0.7387 0.6614 0.3001
0.4614 0.7386 0.6500
0.3408 0.2592 0.2000
0.0614 0.3386 0.5500
0.9402 0.8622 0.1003
0.6614 0.9386 0.4500
0.5393 0.4607 0.0000
0.2614 0.5386 0.3500
0.8624 0.1403 0.2503
0.4598 0.7378 0.1497
0.0593 0.3411 0.0500
0.6589 0.9407 0.9500
0.7000 0.3000 0.8750
0.4976 0.0979 0.8255
0.3020 0.9024 0.7745
0.0996 0.6992 0.7248
0.8999 0.4999 0.6750
0.7000 0.3000 0.6250
0.5000 0.1000 0.5750
0.3000 0.9000 0.5250
0.1000 0.7000 0.4750
0.9000 0.5000 0.4250
0.7000 0.3000 0.3750
0.5001 0.1001 0.3250
0.3008 0.9004 0.2752
0.0976 0.6980 0.2255
0.9021 0.5024 0.1745
0.7000 0.3000 0.1250
0.4980 0.0976 0.0755
0.3027 0.9027 0.0246
0.0973 0.6973 0.9754
0.9024 0.5020 0.9245
0.9204 0.8781 0.8503
0.5215 0.4794 0.7496
0.1211 0.0789 0.6500
0.7211 0.6789 0.5500
0.4795 0.7218 0.8997
0.3211 0.2789 0.4500
0.0793 0.3207 0.8000
0.9211 0.8789 0.3500
0.6785 0.9208 0.6999
0.5206 0.4785 0.2504
0.2789 0.5211 0.6000
0.1219 0.0796 0.1497
0.8789 0.1211 0.5000
0.7211 0.6795 0.0501
0.4789 0.7211 0.4000
0.3205 0.2789 0.9499
0.0792 0.3215 0.3001
0.6793 0.9207 0.2000
0.2782 0.5205 0.1003
0.8790 0.1210 0.0000
0.2688 0.7232 0.9158
0.9768 0.1361 0.8618
0.8648 0.3199 0.8158
0.9253 0.6665 0.8661
0.6619 0.8229 0.8391
0.5768 0.7380 0.7608
0.4658 0.9221 0.7158
0.4868 0.9131 0.8000
0.5230 0.2687 0.7657
0.2635 0.4229 0.7382
0.7381 0.7771 0.9109
0.1755 0.3357 0.6616
0.4746 0.9336 0.8839
0.0663 0.5225 0.6158
0.1224 0.8663 0.6658
0.4232 0.4641 0.8883
0.8643 0.0244 0.6384
0.3347 0.3784 0.8117
0.7755 0.9358 0.5616
0.0801 0.5353 0.7842
0.1312 0.8768 0.8342
0.6663 0.1225 0.5158
0.7225 0.4662 0.5659
0.0216 0.0653 0.7883
0.4644 0.6245 0.5384
0.9353 0.9752 0.7115
0.3755 0.5356 0.4616
0.6773 0.1335 0.6841
0.7330 0.4743 0.7338
0.2665 0.7225 0.4158
0.3225 0.0665 0.4658
0.6242 0.6642 0.6884
0.0642 0.2245 0.4384
0.5358 0.5755 0.6116
0.9756 0.1357 0.3616
0.2775 0.7335 0.5842
0.3337 0.0775 0.6342
0.8665 0.3227 0.3159
0.9225 0.6663 0.3658
0.2245 0.2643 0.5884
0.6643 0.8245 0.3384
0.1357 0.1755 0.5116
0.5771 0.7365 0.2618
0.8775 0.3337 0.4842
0.9335 0.6775 0.5342
0.4647 0.9199 0.2158
0.5257 0.2670 0.2662
0.8245 0.8643 0.4884
0.2620 0.4232 0.2392
0.7357 0.7755 0.4116
0.1771 0.3381 0.1609
0.4775 0.9337 0.3842
0.5338 0.2775 0.4341
0.0664 0.5254 0.1161
0.0869 0.5132 0.2000
0.1232 0.8688 0.1658
0.4245 0.4642 0.3884
0.8639 0.0232 0.1382
0.3358 0.3758 0.3116
0.7787 0.9348 0.0617
0.0779 0.5342 0.2842
0.1337 0.8776 0.3342
0.6692 0.1264 0.0161
0.7201 0.4650 0.0659
0.0248 0.0647 0.2885
0.4658 0.6219 0.0383
0.9347 0.9784 0.2117
0.3781 0.5342 0.9617
0.6801 0.1352 0.1842
0.7313 0.4770 0.2343
0.3197 0.0643 0.9657
0.6216 0.6653 0.1883
0.0652 0.2213 0.9383
0.5359 0.5768 0.1117
0.2768 0.7312 0.0842
0.3131 0.0869 0.0501
0.3335 0.0747 0.1339
0.2229 0.2619 0.0891
0.1387 0.1785 0.0110
0.8736 0.3308 0.9839
0.9131 0.6869 0.9499
0.9357 0.6803 0.0343
0.8215 0.8613 0.9890
0.5350 0.2799 0.9341
0.8849 0.3127 0.8999
0.5151 0.2872 0.8501
0.0853 0.5146 0.6999
0.1131 0.8848 0.7498
0.6852 0.1148 0.6000
0.7148 0.4852 0.6500
0.2852 0.7148 0.5000
0.3148 0.0852 0.5500
0.8852 0.3148 0.4000
0.9148 0.6852 0.4500
0.4854 0.9147 0.3001
0.5148 0.2852 0.3500
0.1152 0.8869 0.2502
0.6873 0.1151 0.1001
0.7128 0.4849 0.1499
0.2866 0.7134 0.0000
```